Version w
The following is a DFT calculation (PBE) of crystalline RbMg30BO31 at its relaxed geometry.

Properties
The symmetry is Pmm2.

Lattice parameters (Å, degrees): 8.589 8.660 8.698 90.00 90.00 90.00
Element x y z (fractional)
Rb (0.000, 0.000, 0.000)
Mg (0.000, 0.002, 0.500)
Mg (0.500, 0.003, 0.000)
Mg (0.000, 0.500, 0.000)
Mg (0.000, 0.505, 0.500)
Mg (0.500, 0.499, 0.000)
Mg (0.500, 0.506, 0.500)
Mg (0.735, 0.000, 0.754)
Mg (0.735, 0.000, 0.246)
Mg (0.265, 0.000, 0.754)
Mg (0.265, 0.000, 0.246)
Mg (0.749, 0.501, 0.751)
Mg (0.749, 0.501, 0.249)
Mg (0.251, 0.501, 0.751)
Mg (0.251, 0.501, 0.249)
Mg (0.000, 0.252, 0.750)
Mg (0.000, 0.252, 0.250)
Mg (0.500, 0.248, 0.746)
Mg (0.500, 0.248, 0.254)
Mg (0.000, 0.749, 0.749)
Mg (0.000, 0.749, 0.251)
Mg (0.500, 0.751, 0.764)
Mg (0.500, 0.751, 0.236)
Mg (0.745, 0.254, 0.000)
Mg (0.731, 0.256, 0.500)
Mg (0.255, 0.254, 0.000)
Mg (0.269, 0.256, 0.500)
Mg (0.749, 0.747, 0.000)
Mg (0.752, 0.746, 0.500)
Mg (0.251, 0.747, 0.000)
Mg (0.248, 0.746, 0.500)
B (0.500, 0.934, 0.500)
O (0.000, 0.279, 0.000)
O (0.500, 0.259, 0.000)
O (0.500, 0.278, 0.500)
O (0.000, 0.721, 0.000)
O (0.000, 0.754, 0.500)
O (0.500, 0.740, 0.000)
O (0.500, 0.764, 0.500)
O (0.748, 0.248, 0.747)
O (0.748, 0.248, 0.253)
O (0.252, 0.248, 0.747)
O (0.252, 0.248, 0.253)
O (0.751, 0.752, 0.748)
O (0.751, 0.752, 0.252)
O (0.249, 0.752, 0.748)
O (0.249, 0.752, 0.252)
O (0.000, 0.001, 0.716)
O (0.000, 0.001, 0.284)
O (0.500, 0.995, 0.764)
O (0.500, 0.995, 0.236)
O (0.000, 0.500, 0.741)
O (0.000, 0.500, 0.259)
O (0.500, 0.508, 0.747)
O (0.500, 0.508, 0.253)
O (0.723, 0.000, 0.000)
O (0.660, 0.989, 0.500)
O (0.277, 0.000, 0.000)
O (0.340, 0.989, 0.500)
O (0.746, 0.500, 0.000)
O (0.749, 0.507, 0.500)
O (0.254, 0.500, 0.000)
O (0.251, 0.507, 0.500)


Version x
The following is a DFT calculation (PBE) of crystalline RbMg30BO31 at its relaxed geometry.

Properties
The symmetry is Pmm2.

Lattice parameters (Å, degrees): 8.339 8.719 8.825 90.00 90.00 90.00
Element x y z (fractional)
Rb (0.000, 0.006, 0.000)
Mg (0.000, 0.003, 0.500)
Mg (0.500, 0.006, 0.500)
Mg (0.000, 0.505, 0.000)
Mg (0.500, 0.501, 0.000)
Mg (0.000, 0.500, 0.500)
Mg (0.500, 0.497, 0.500)
Mg (0.257, 0.000, 0.265)
Mg (0.743, 0.000, 0.265)
Mg (0.257, 0.000, 0.735)
Mg (0.743, 0.000, 0.735)
Mg (0.251, 0.503, 0.252)
Mg (0.749, 0.503, 0.252)
Mg (0.251, 0.503, 0.748)
Mg (0.749, 0.503, 0.748)
Mg (0.251, 0.744, 0.000)
Mg (0.749, 0.744, 0.000)
Mg (0.248, 0.749, 0.500)
Mg (0.752, 0.749, 0.500)
Mg (0.258, 0.269, 0.000)
Mg (0.742, 0.269, 0.000)
Mg (0.251, 0.252, 0.500)
Mg (0.749, 0.252, 0.500)
Mg (0.000, 0.749, 0.255)
Mg (0.500, 0.754, 0.264)
Mg (0.000, 0.749, 0.745)
Mg (0.500, 0.754, 0.736)
Mg (0.000, 0.255, 0.253)
Mg (0.500, 0.243, 0.240)
Mg (0.000, 0.255, 0.747)
Mg (0.500, 0.243, 0.760)
B (0.500, 0.919, 0.000)
O (0.000, 0.728, 0.000)
O (0.000, 0.744, 0.500)
O (0.500, 0.745, 0.500)
O (0.000, 0.283, 0.000)
O (0.500, 0.275, 0.000)
O (0.000, 0.257, 0.500)
O (0.500, 0.256, 0.500)
O (0.250, 0.753, 0.249)
O (0.750, 0.753, 0.249)
O (0.250, 0.753, 0.751)
O (0.750, 0.753, 0.751)
O (0.250, 0.247, 0.243)
O (0.750, 0.247, 0.243)
O (0.250, 0.247, 0.757)
O (0.750, 0.247, 0.757)
O (0.341, 0.977, 0.000)
O (0.659, 0.977, 0.000)
O (0.251, 0.002, 0.500)
O (0.749, 0.002, 0.500)
O (0.256, 0.509, 0.000)
O (0.744, 0.509, 0.000)
O (0.251, 0.500, 0.500)
O (0.749, 0.500, 0.500)
O (0.000, 0.000, 0.277)
O (0.500, 0.999, 0.276)
O (0.000, 0.000, 0.723)
O (0.500, 0.999, 0.724)
O (0.000, 0.502, 0.256)
O (0.500, 0.506, 0.251)
O (0.000, 0.502, 0.744)
O (0.500, 0.506, 0.749)


Version y
The following is a DFT calculation (PBE) of crystalline RbMg30BO31 at its relaxed geometry.

Properties
The symmetry is Pmm2.

Lattice parameters (Å, degrees): 8.415 8.595 8.842 90.00 90.00 90.00
Element x y z (fractional)
Rb (0.000, 0.980, 0.000)
Mg (0.000, 0.001, 0.500)
Mg (0.500, 0.997, 0.500)
Mg (0.000, 0.509, 0.000)
Mg (0.500, 0.492, 0.000)
Mg (0.000, 0.498, 0.500)
Mg (0.500, 0.502, 0.500)
Mg (0.258, 0.000, 0.264)
Mg (0.742, 0.000, 0.264)
Mg (0.258, 0.000, 0.736)
Mg (0.742, 0.000, 0.736)
Mg (0.250, 0.499, 0.250)
Mg (0.750, 0.499, 0.250)
Mg (0.250, 0.499, 0.750)
Mg (0.750, 0.499, 0.750)
Mg (0.268, 0.738, 0.000)
Mg (0.732, 0.738, 0.000)
Mg (0.253, 0.748, 0.500)
Mg (0.747, 0.748, 0.500)
Mg (0.245, 0.256, 0.000)
Mg (0.755, 0.256, 0.000)
Mg (0.248, 0.251, 0.500)
Mg (0.752, 0.251, 0.500)
Mg (0.000, 0.746, 0.263)
Mg (0.500, 0.755, 0.244)
Mg (0.000, 0.746, 0.737)
Mg (0.500, 0.755, 0.756)
Mg (0.000, 0.251, 0.253)
Mg (0.500, 0.248, 0.264)
Mg (0.000, 0.251, 0.747)
Mg (0.500, 0.248, 0.736)
B (0.500, 0.067, 0.000)
O (0.500, 0.722, 0.000)
O (0.000, 0.744, 0.500)
O (0.500, 0.745, 0.500)
O (0.000, 0.272, 0.000)
O (0.500, 0.237, 0.000)
O (0.000, 0.254, 0.500)
O (0.500, 0.255, 0.500)
O (0.251, 0.753, 0.248)
O (0.749, 0.753, 0.248)
O (0.251, 0.753, 0.752)
O (0.749, 0.753, 0.752)
O (0.250, 0.247, 0.248)
O (0.750, 0.247, 0.248)
O (0.250, 0.247, 0.752)
O (0.750, 0.247, 0.752)
O (0.340, 0.010, 0.000)
O (0.660, 0.010, 0.000)
O (0.251, 0.000, 0.500)
O (0.749, 0.000, 0.500)
O (0.255, 0.493, 0.000)
O (0.745, 0.493, 0.000)
O (0.251, 0.500, 0.500)
O (0.749, 0.500, 0.500)
O (0.000, 0.001, 0.276)
O (0.500, 0.003, 0.274)
O (0.000, 0.001, 0.724)
O (0.500, 0.003, 0.726)
O (0.000, 0.499, 0.257)
O (0.500, 0.493, 0.251)
O (0.000, 0.499, 0.743)
O (0.500, 0.493, 0.749)


Most stable structure: version y


Version w
The following is a DFT calculation (PBE) of crystalline RbMg6BO7 at its relaxed geometry.

Properties
The symmetry is P4mm.

Lattice parameters (Å, degrees): 8.780 4.567 4.567 90.00 90.00 90.00
Element x y z (fractional)
Rb (0.007, 0.000, 0.000)
Mg (0.504, 0.000, 0.000)
Mg (0.489, 0.500, 0.500)
Mg (0.241, 0.000, 0.500)
Mg (0.753, 0.000, 0.500)
Mg (0.241, 0.500, 0.000)
Mg (0.753, 0.500, 0.000)
B (0.958, 0.500, 0.500)
O (0.284, 0.000, 0.000)
O (0.724, 0.000, 0.000)
O (0.800, 0.500, 0.500)
O (0.989, 0.000, 0.500)
O (0.510, 0.000, 0.500)
O (0.989, 0.500, 0.000)
O (0.510, 0.500, 0.000)


Version x
The following is a DFT calculation (PBE) of crystalline RbMg6BO7 at its relaxed geometry.

Properties
The symmetry is P4mm.

Lattice parameters (Å, degrees): 5.013 5.013 7.802 90.00 90.00 90.00
Element x y z (fractional)
Rb (0.000, 0.000, 0.001)
Mg (0.500, 0.500, 0.004)
Mg (0.500, 0.500, 0.496)
Mg (0.000, 0.500, 0.255)
Mg (0.000, 0.500, 0.743)
Mg (0.500, 0.000, 0.255)
Mg (0.500, 0.000, 0.743)
B (0.000, 0.000, 0.501)
O (0.000, 0.000, 0.333)
O (0.000, 0.000, 0.669)
O (0.500, 0.500, 0.751)
O (0.000, 0.500, 0.999)
O (0.000, 0.500, 0.499)
O (0.500, 0.000, 0.999)
O (0.500, 0.000, 0.499)


Version y
The following is a DFT calculation (PBE) of crystalline RbMg6BO7 at its relaxed geometry.

Properties
The symmetry is P4mm.

Lattice parameters (Å, degrees): 4.038 4.038 12.807 90.00 90.00 90.00
Element x y z (fractional)
Rb (0.000, 0.000, 0.041)
Mg (0.000, 0.000, 0.541)
Mg (0.500, 0.500, 0.496)
Mg (0.000, 0.500, 0.332)
Mg (0.000, 0.500, 0.752)
Mg (0.500, 0.000, 0.332)
Mg (0.500, 0.000, 0.752)
B (0.500, 0.500, 0.883)
O (0.000, 0.000, 0.700)
O (0.500, 0.500, 0.331)
O (0.500, 0.500, 0.770)
O (0.000, 0.500, 0.904)
O (0.000, 0.500, 0.506)
O (0.500, 0.000, 0.904)
O (0.500, 0.000, 0.506)


Most stable structure: version y


Version w
The following is a DFT calculation (PBE) of crystalline RbMg14BO15 at its relaxed geometry.

Properties
The symmetry is Pmm2.

Lattice parameters (Å, degrees): 8.569 8.880 4.347 90.00 90.00 90.00
Element x y z (fractional)
Rb (0.073, 0.000, 0.000)
Mg (0.997, 0.500, 0.000)
Mg (0.509, 0.000, 0.000)
Mg (0.990, 0.254, 0.500)
Mg (0.990, 0.746, 0.500)
Mg (0.502, 0.254, 0.500)
Mg (0.502, 0.746, 0.500)
Mg (0.267, 0.000, 0.500)
Mg (0.250, 0.500, 0.500)
Mg (0.751, 0.000, 0.500)
Mg (0.744, 0.500, 0.500)
Mg (0.265, 0.284, 0.000)
Mg (0.265, 0.716, 0.000)
Mg (0.750, 0.230, 0.000)
Mg (0.750, 0.770, 0.000)
B (0.555, 0.500, 0.000)
O (0.229, 0.500, 0.000)
O (0.739, 0.000, 0.000)
O (0.712, 0.500, 0.000)
O (0.247, 0.245, 0.500)
O (0.247, 0.755, 0.500)
O (0.743, 0.255, 0.500)
O (0.743, 0.745, 0.500)
O (0.981, 0.000, 0.500)
O (0.987, 0.500, 0.500)
O (0.499, 0.000, 0.500)
O (0.500, 0.500, 0.500)
O (0.986, 0.276, 0.000)
O (0.986, 0.724, 0.000)
O (0.496, 0.233, 0.000)
O (0.496, 0.767, 0.000)


Version x
The following is a DFT calculation (PBE) of crystalline RbMg14BO15 at its relaxed geometry.

Properties
The symmetry is Pmm2.

Lattice parameters (Å, degrees): 4.159 8.468 10.219 90.00 90.00 90.00
Element x y z (fractional)
Rb (0.000, 0.000, 0.051)
Mg (0.000, 0.500, 0.005)
Mg (0.000, 0.000, 0.516)
Mg (0.500, 0.751, 0.931)
Mg (0.500, 0.249, 0.931)
Mg (0.500, 0.746, 0.507)
Mg (0.500, 0.254, 0.507)
Mg (0.500, 0.000, 0.728)
Mg (0.500, 0.500, 0.679)
Mg (0.500, 0.000, 0.313)
Mg (0.500, 0.500, 0.274)
Mg (0.000, 0.759, 0.725)
Mg (0.000, 0.241, 0.725)
Mg (0.000, 0.756, 0.314)
Mg (0.000, 0.244, 0.314)
B (0.000, 0.500, 0.490)
O (0.000, 0.000, 0.712)
O (0.000, 0.000, 0.310)
O (0.000, 0.500, 0.346)
O (0.500, 0.730, 0.721)
O (0.500, 0.270, 0.721)
O (0.500, 0.754, 0.290)
O (0.500, 0.246, 0.290)
O (0.500, 0.000, 0.921)
O (0.500, 0.500, 0.061)
O (0.500, 0.000, 0.514)
O (0.500, 0.500, 0.488)
O (0.000, 0.708, 0.923)
O (0.000, 0.292, 0.923)
O (0.000, 0.756, 0.510)
O (0.000, 0.244, 0.510)


Most stable structure: version x


Version w
The following is a DFT calculation (PBE) of crystalline RbMg6BO8 at its relaxed geometry.

Properties
The symmetry is P4/mmm.

Lattice parameters (Å, degrees): 4.622 4.622 8.618 90.00 90.00 90.00
Element x y z (fractional)
Rb (0.000, 0.000, 0.000)
Mg (0.000, 0.000, 0.500)
Mg (0.500, 0.500, 0.500)
Mg (0.000, 0.500, 0.233)
Mg (0.000, 0.500, 0.767)
Mg (0.500, 0.000, 0.233)
Mg (0.500, 0.000, 0.767)
B (0.500, 0.500, 0.000)
O (0.000, 0.000, 0.281)
O (0.000, 0.000, 0.719)
O (0.500, 0.500, 0.165)
O (0.500, 0.500, 0.835)
O (0.000, 0.500, 0.000)
O (0.000, 0.500, 0.500)
O (0.500, 0.000, 0.000)
O (0.500, 0.000, 0.500)


Version x
The following is a DFT calculation (PBE) of crystalline RbMg6BO8 at its relaxed geometry.

Properties
The symmetry is P4/mmm.

Lattice parameters (Å, degrees): 4.877 4.877 7.883 90.00 90.00 90.00
Element x y z (fractional)
Rb (0.000, 0.000, 0.000)
Mg (0.500, 0.500, 0.000)
Mg (0.500, 0.500, 0.500)
Mg (0.000, 0.500, 0.257)
Mg (0.000, 0.500, 0.743)
Mg (0.500, 0.000, 0.257)
Mg (0.500, 0.000, 0.743)
B (0.000, 0.000, 0.500)
O (0.000, 0.000, 0.332)
O (0.000, 0.000, 0.668)
O (0.500, 0.500, 0.250)
O (0.500, 0.500, 0.750)
O (0.000, 0.500, 0.000)
O (0.000, 0.500, 0.500)
O (0.500, 0.000, 0.000)
O (0.500, 0.000, 0.500)


Most stable structure: version x